Computed, not measured: crystalline CeMg14Ga at its relaxed geometry at the PBE level of DFT.

Structure (POSCAR):
```
CeMg14Ga
1.0
6.507 0.100 0.000
-3.167 5.486 0.000
0.000 0.000 10.301
Mg Ga Ce
14 1 1
direct
0.831 0.166 0.866 Mg
0.647 0.315 0.125 Mg
0.831 0.166 0.384 Mg
0.337 0.671 0.380 Mg
0.337 0.671 0.870 Mg
0.337 0.167 0.380 Mg
0.846 0.673 0.358 Mg
0.666 0.337 0.625 Mg
0.161 0.830 0.625 Mg
0.647 0.832 0.125 Mg
0.165 0.333 0.625 Mg
0.666 0.829 0.625 Mg
0.337 0.167 0.870 Mg
0.846 0.673 0.892 Mg
0.194 0.847 0.125 Ga
0.150 0.325 0.125 Ce
```

Results
**ΔE_f**: 0.00 eV per atom
**Magnetic moment**: 0.00 μB per formula unit
**SG**: Amm2, No. 38
**ΔE to the lowest computed polymorph**: 0 meV/atom

=====

Computed, not measured: crystalline NaCeGa4S8 at its relaxed geometry at the PBE level of DFT.

Structure (POSCAR):
```
NaCeGa4S8
1.0
6.229 10.343 -1.586
-0.782 -7.897 -9.238
-11.357 3.473 2.128
S Ga Na Ce
32 16 4 4
direct
0.846 0.337 0.688 S
0.085 0.418 0.995 S
0.163 0.654 0.812 S
0.578 0.912 0.506 S
0.906 0.072 0.994 S
0.915 0.582 0.005 S
0.685 0.684 0.839 S
0.590 0.423 0.005 S
0.816 0.815 0.661 S
0.094 0.928 0.006 S
0.923 0.090 0.505 S
0.341 0.351 0.688 S
0.851 0.841 0.188 S
0.412 0.078 0.006 S
0.654 0.154 0.339 S
0.346 0.846 0.161 S
0.654 0.154 0.839 S
0.082 0.415 0.505 S
0.184 0.185 0.339 S
0.149 0.159 0.812 S
0.918 0.585 0.495 S
0.588 0.922 0.994 S
0.837 0.346 0.188 S
0.659 0.649 0.312 S
0.428 0.594 0.506 S
0.346 0.846 0.661 S
0.077 0.910 0.495 S
0.154 0.663 0.312 S
0.422 0.088 0.494 S
0.572 0.406 0.494 S
0.315 0.316 0.161 S
0.410 0.577 0.995 S
0.471 0.470 0.110 Ga
0.529 0.530 0.890 Ga
0.139 0.640 0.110 Ga
0.618 0.610 0.478 Ga
0.970 0.971 0.610 Ga
0.860 0.361 0.390 Ga
0.140 0.639 0.610 Ga
0.861 0.360 0.890 Ga
0.030 0.029 0.390 Ga
0.640 0.132 0.522 Ga
0.632 0.140 0.022 Ga
0.890 0.882 0.022 Ga
0.368 0.860 0.978 Ga
0.360 0.868 0.478 Ga
0.110 0.118 0.978 Ga
0.382 0.390 0.522 Ga
0.629 0.871 0.250 Na
0.879 0.621 0.750 Na
0.371 0.129 0.750 Na
0.121 0.379 0.250 Na
0.625 0.875 0.750 Ce
0.875 0.625 0.250 Ce
0.125 0.375 0.750 Ce
0.375 0.125 0.250 Ce
```

Results
**ΔE_f**: -1.28 eV per atom
**Magnetic moment**: 0.38 μB per formula unit
**SG**: Fddd, No. 70

=====

Computed, not measured: crystalline NaCeGa4Se8 at its relaxed geometry at the PBE level of DFT.

Structure (POSCAR):
```
NaCeGa4Se8
1.0
12.048 0.011 -3.325
-6.982 9.819 -3.325
0.006 0.011 12.541
Se Ga Na Ce
32 16 4 4
direct
0.149 0.817 0.498 Se
0.343 0.657 0.496 Se
0.162 0.347 0.004 Se
0.183 0.851 0.002 Se
0.083 0.079 0.673 Se
0.910 0.406 0.327 Se
0.817 0.149 0.998 Se
0.319 0.151 0.002 Se
0.594 0.090 0.173 Se
0.412 0.909 0.326 Se
0.653 0.838 0.496 Se
0.681 0.849 0.998 Se
0.586 0.583 0.674 Se
0.090 0.594 0.673 Se
0.657 0.343 0.504 Se
0.838 0.653 0.996 Se
0.417 0.414 0.826 Se
0.151 0.319 0.502 Se
0.347 0.162 0.504 Se
0.414 0.417 0.326 Se
0.849 0.681 0.498 Se
0.657 0.343 0.996 Se
0.091 0.588 0.174 Se
0.921 0.917 0.827 Se
0.079 0.083 0.173 Se
0.406 0.910 0.827 Se
0.851 0.183 0.502 Se
0.917 0.921 0.327 Se
0.909 0.412 0.826 Se
0.583 0.586 0.174 Se
0.588 0.091 0.674 Se
0.343 0.657 0.004 Se
0.116 0.136 0.005 Ga
0.388 0.868 0.005 Ga
0.028 0.638 0.999 Ga
0.612 0.132 0.995 Ga
0.972 0.362 0.001 Ga
0.361 0.471 0.499 Ga
0.471 0.361 0.999 Ga
0.868 0.388 0.505 Ga
0.132 0.612 0.495 Ga
0.884 0.864 0.995 Ga
0.529 0.639 0.001 Ga
0.639 0.529 0.501 Ga
0.362 0.972 0.501 Ga
0.864 0.884 0.495 Ga
0.136 0.116 0.505 Ga
0.638 0.028 0.499 Ga
0.378 0.128 0.256 Na
0.128 0.378 0.756 Na
0.622 0.872 0.744 Na
0.872 0.622 0.244 Na
0.125 0.875 0.750 Ce
0.375 0.625 0.250 Ce
0.625 0.375 0.750 Ce
0.875 0.125 0.250 Ce
```

Results
**ΔE_f**: -1.16 eV per atom
**Magnetic moment**: 0.99 μB per formula unit
**SG**: Fddd, No. 70

=====

Computed, not measured: crystalline Ce3Ga2Ni2 at its relaxed geometry at the PBE level of DFT.

Structure (POSCAR):
```
Ce3Ga2Ni2
1.0
5.644 0.000 0.000
0.000 8.145 0.000
0.000 0.000 12.505
Ga Ni Ce
8 8 12
direct
0.859 0.398 0.250 Ga
0.343 0.250 0.000 Ga
0.141 0.602 0.750 Ga
0.657 0.750 0.500 Ga
0.343 0.250 0.500 Ga
0.859 0.102 0.750 Ga
0.141 0.898 0.250 Ga
0.657 0.750 0.000 Ga
0.620 0.465 0.410 Ni
0.620 0.465 0.090 Ni
0.380 0.535 0.590 Ni
0.620 0.035 0.910 Ni
0.620 0.035 0.590 Ni
0.380 0.535 0.910 Ni
0.380 0.965 0.090 Ni
0.380 0.965 0.410 Ni
0.160 0.898 0.593 Ce
0.160 0.602 0.407 Ce
0.840 0.102 0.093 Ce
0.840 0.398 0.907 Ce
0.642 0.749 0.250 Ce
0.358 0.249 0.250 Ce
0.642 0.751 0.750 Ce
0.160 0.898 0.907 Ce
0.840 0.102 0.407 Ce
0.358 0.251 0.750 Ce
0.160 0.602 0.093 Ce
0.840 0.398 0.593 Ce
```

Results
**ΔE_f**: -0.48 eV per atom
**Magnetic moment**: 1.97 μB per formula unit
**SG**: Pbcm, No. 57